1.
This record from the Materials Project describes a relaxed MgSi2 crystal. The functional is PBE-GGA.

Summary:
ΔH_f (0 K) = 170 meV/atom

a = 3.7404 Å, b = 5.7679 Å, c = 11.1031 Å
α = 95.10°, β = 98.72°, γ = 108.60°
Space group P1 (No. 1)
One atom of each set of equivalent atoms:
Mg1 0.0000 0.0000 0.0000 [1 per cell]
Mg2 0.0353 0.7329 0.4557 [1 per cell]
Mg3 0.5247 0.5196 0.6585 [1 per cell]
Mg4 0.5764 0.0094 0.2505 [1 per cell]
Si1 0.2073 0.5778 0.8698 [1 per cell]
Si2 0.2291 0.8870 0.7305 [1 per cell]
Si3 0.2416 0.3714 0.2088 [1 per cell]
Si4 0.3163 0.3239 0.4234 [1 per cell]
Si5 0.6945 0.4447 0.9800 [1 per cell]
Si6 0.7565 0.1266 0.5090 [1 per cell]
Si7 0.8640 0.6415 0.1888 [1 per cell]
Si8 0.8673 0.1630 0.7354 [1 per cell]

=====

2.
This record from the Materials Project describes a relaxed Mg5Si9 crystal. The functional is PBE-GGA.

Summary:
ΔH_f (0 K) = 219 meV/atom

a = 7.4790 Å, b = 7.8265 Å, c = 9.7766 Å
α = 84.02°, β = 84.50°, γ = 62.71°
Space group P1 (No. 1)
One atom of each set of equivalent atoms:
Mg1 0.0000 0.0000 0.0000 [1 per cell]
Mg2 0.0390 0.2692 0.1747 [1 per cell]
Mg3 0.1048 0.5558 0.9367 [1 per cell]
Mg4 0.1855 0.8724 0.6796 [1 per cell]
Mg5 0.3568 0.8133 0.3862 [1 per cell]
Mg6 0.4968 0.3821 0.4781 [1 per cell]
Mg7 0.5420 0.2292 0.0011 [1 per cell]
Mg8 0.6905 0.6152 0.6542 [1 per cell]
Mg9 0.7681 0.7741 0.1473 [1 per cell]
Mg10 0.9033 0.8167 0.4665 [1 per cell]
Si1 0.0151 0.2871 0.7900 [1 per cell]
Si2 0.1194 0.5129 0.6502 [1 per cell]
Si3 0.1568 0.4806 0.3204 [1 per cell]
Si4 0.2240 0.2190 0.5224 [1 per cell]
Si5 0.2873 0.6507 0.1394 [1 per cell]
Si6 0.3619 0.9380 0.1108 [1 per cell]
Si7 0.3803 0.0346 0.8552 [1 per cell]
Si8 0.4064 0.1422 0.2817 [1 per cell]
Si9 0.4171 0.6948 0.9030 [1 per cell]
Si10 0.4287 0.4573 0.7541 [1 per cell]
Si11 0.5447 0.0054 0.6232 [1 per cell]
Si12 0.6252 0.4508 0.2051 [1 per cell]
Si13 0.7491 0.1053 0.2592 [1 per cell]
Si14 0.7684 0.1832 0.6967 [1 per cell]
Si15 0.7708 0.4825 0.9690 [1 per cell]
Si16 0.7850 0.9030 0.8374 [1 per cell]
Si17 0.7913 0.5211 0.3819 [1 per cell]
Si18 0.9419 0.1602 0.4630 [1 per cell]

=====

3.
This record from the Materials Project describes a relaxed Sc2AgOs crystal. The functional is PBE-GGA.

Summary:
ΔH_f (0 K) = -377 meV/atom

a = 6.6215 Å, b = 6.6215 Å, c = 6.6215 Å
α = 90.00°, β = 90.00°, γ = 90.00°
Space group Fm-3m (No. 225)
One atom of each set of equivalent atoms:
Sc1 0.2500 0.2500 0.2500 [8 per cell]
Ag1 0.0000 0.0000 0.0000 [4 per cell]
Os1 0.0000 0.0000 0.5000 [4 per cell]

=====

4.
This record from the Materials Project describes a relaxed ZnCdAu2 crystal. The functional is PBE-GGA.

Summary:
ΔH_f (0 K) = -201 meV/atom

a = 3.2123 Å, b = 3.2123 Å, c = 6.9735 Å
α = 90.00°, β = 90.00°, γ = 90.00°
Space group P4/mmm (No. 123)
One atom of each set of equivalent atoms:
Zn1 0.0000 0.0000 0.0000 [1 per cell]
Cd1 0.0000 0.0000 0.5000 [1 per cell]
Au1 0.5000 0.5000 0.2230 [2 per cell]

=====

5.
This record from the Materials Project describes a relaxed YCI crystal. The functional is PBE-GGA.

Summary:
ΔH_f (0 K) = -985 meV/atom

a = 7.3318 Å, b = 3.9142 Å, c = 10.7809 Å
α = 90.00°, β = 93.52°, γ = 90.00°
Space group C2/m (No. 12)
One atom of each set of equivalent atoms:
Y1 0.1466 0.0000 0.1284 [4 per cell]
C1 0.0766 0.5000 0.9700 [4 per cell]
I1 0.1749 0.0000 0.6756 [4 per cell]

=====

6.
This record from the Materials Project describes a relaxed SrP3 crystal. The functional is PBE-GGA.

Summary:
ΔH_f (0 K) = -641 meV/atom

a = 11.5043 Å, b = 7.4494 Å, c = 8.6342 Å
α = 90.00°, β = 103.44°, γ = 90.00°
Space group C2/m (No. 12)
One atom of each set of equivalent atoms:
Sr1 0.0415 0.0000 0.2417 [4 per cell]
Sr2 0.2071 0.5000 0.2750 [4 per cell]
P1 0.0827 0.5000 0.8677 [4 per cell]
P2 0.0982 0.2630 0.5245 [8 per cell]
P3 0.1508 0.2462 0.9875 [8 per cell]
P4 0.1736 0.5000 0.6628 [4 per cell]

=====

7.
This record from the Materials Project describes a relaxed Li3Hg crystal. The functional is PBE-GGA.

Summary:
ΔH_f (0 K) = -277 meV/atom

a = 4.1526 Å, b = 4.1526 Å, c = 8.2405 Å
α = 90.00°, β = 90.00°, γ = 90.00°
Space group I4/mmm (No. 139)
One atom of each set of equivalent atoms:
Li1 0.0000 0.0000 0.0000 [2 per cell]
Li2 0.0000 0.5000 0.2500 [4 per cell]
Hg1 0.0000 0.0000 0.5000 [2 per cell]

=====

8.
This record from the Materials Project describes a relaxed Na3Pu crystal. The functional is PBE-GGA.

Summary:
ΔH_f (0 K) = 484 meV/atom

a = 7.8585 Å, b = 7.8585 Å, c = 5.5646 Å
α = 90.00°, β = 90.00°, γ = 120.00°
Space group P6_3/mmc (No. 194)
One atom of each set of equivalent atoms:
Na1 0.1606 0.3212 0.2500 [6 per cell]
Pu1 0.3333 0.6667 0.7500 [2 per cell]